# PBE CsPuP2S7, optimized geometry
data_CsPuP2S7
_chemical_formula_sum 'Cs4 Pu4 P8 S28'
_symmetry_space_group_name_H-M 'P 1'
_symmetry_Int_Tables_number 1
_symmetry_space_group_name_Hall 'P 1'
_cell_length_a 10.282
_cell_length_b 12.762
_cell_length_c 9.142
_cell_angle_alpha 90.00
_cell_angle_beta 91.26
_cell_angle_gamma 90.00
loop_
_atom_site_label
_atom_site_fract_x
_atom_site_fract_y
_atom_site_fract_z
Cs1 0.102 0.198 0.134
Cs2 0.102 0.302 0.634
Cs3 0.898 0.698 0.366
Cs4 0.898 0.802 0.866
Pu1 0.365 0.641 0.606
Pu2 0.365 0.859 0.106
Pu3 0.635 0.141 0.894
Pu4 0.635 0.359 0.394
P1 0.240 0.606 0.976
P2 0.240 0.894 0.476
P3 0.324 0.033 0.800
P4 0.324 0.467 0.300
P5 0.676 0.533 0.700
P6 0.676 0.967 0.200
P7 0.760 0.106 0.524
P8 0.760 0.394 0.024
S1 0.148 0.563 0.786
S2 0.148 0.937 0.286
S3 0.155 0.709 0.111
S4 0.155 0.791 0.611
S5 0.182 0.529 0.426
S6 0.182 0.971 0.926
S7 0.264 0.047 0.575
S8 0.264 0.453 0.075
S9 0.360 0.186 0.852
S10 0.360 0.314 0.352
S11 0.415 0.672 0.923
S12 0.415 0.828 0.423
S13 0.486 0.557 0.325
S14 0.486 0.943 0.825
S15 0.514 0.057 0.175
S16 0.514 0.443 0.675
S17 0.585 0.172 0.577
S18 0.585 0.328 0.077
S19 0.640 0.686 0.648
S20 0.640 0.814 0.148
S21 0.736 0.547 0.925
S22 0.736 0.953 0.425
S23 0.818 0.029 0.074
S24 0.818 0.471 0.574
S25 0.845 0.209 0.389
S26 0.845 0.291 0.889
S27 0.852 0.063 0.714
S28 0.852 0.437 0.214
# - Crystal system: monoclinic
# - ΔE_f: -1.1299 eV/atom

# PBE Cs5ThP3S12, optimized geometry
data_Cs5ThP3S12
_chemical_formula_sum 'Cs20 Th4 P12 S48'
_symmetry_space_group_name_H-M 'P 1'
_symmetry_Int_Tables_number 1
_symmetry_space_group_name_Hall 'P 1'
_cell_length_a 13.898
_cell_length_b 10.499
_cell_length_c 19.069
_cell_angle_alpha 90.00
_cell_angle_beta 100.74
_cell_angle_gamma 90.00
loop_
_atom_site_label
_atom_site_fract_x
_atom_site_fract_y
_atom_site_fract_z
Cs1 0.014 0.106 0.370
Cs2 0.014 0.394 0.870
Cs3 0.036 0.171 0.118
Cs4 0.036 0.329 0.618
Cs5 0.293 0.656 0.722
Cs6 0.293 0.844 0.222
Cs7 0.349 0.105 0.689
Cs8 0.349 0.395 0.189
Cs9 0.365 0.134 0.445
Cs10 0.365 0.366 0.945
Cs11 0.635 0.634 0.055
Cs12 0.635 0.866 0.555
Cs13 0.651 0.605 0.811
Cs14 0.651 0.895 0.311
Cs15 0.707 0.156 0.778
Cs16 0.707 0.344 0.278
Cs17 0.964 0.671 0.382
Cs18 0.964 0.829 0.882
Cs19 0.986 0.606 0.130
Cs20 0.986 0.894 0.630
Th1 0.314 0.595 0.460
Th2 0.314 0.905 0.960
Th3 0.686 0.095 0.040
Th4 0.686 0.405 0.540
P1 0.148 0.104 0.825
P2 0.148 0.396 0.325
P3 0.218 0.646 0.016
P4 0.218 0.854 0.516
P5 0.471 0.089 0.128
P6 0.471 0.411 0.628
P7 0.529 0.589 0.372
P8 0.529 0.911 0.872
P9 0.782 0.146 0.484
P10 0.782 0.354 0.984
P11 0.852 0.604 0.675
P12 0.852 0.896 0.175
S1 0.004 0.095 0.779
S2 0.004 0.405 0.279
S3 0.149 0.691 0.542
S4 0.149 0.809 0.042
S5 0.166 0.023 0.541
S6 0.166 0.477 0.041
S7 0.168 0.107 0.936
S8 0.168 0.393 0.436
S9 0.207 0.238 0.289
S10 0.207 0.262 0.789
S11 0.211 0.665 0.907
S12 0.211 0.835 0.407
S13 0.223 0.563 0.310
S14 0.223 0.937 0.810
S15 0.327 0.093 0.075
S16 0.327 0.407 0.575
S17 0.362 0.680 0.060
S18 0.362 0.820 0.560
S19 0.452 0.744 0.401
S20 0.452 0.756 0.901
S21 0.466 0.066 0.912
S22 0.466 0.434 0.412
S23 0.473 0.097 0.233
S24 0.473 0.403 0.733
S25 0.527 0.597 0.267
S26 0.527 0.903 0.767
S27 0.534 0.566 0.588
S28 0.534 0.934 0.088
S29 0.548 0.244 0.099
S30 0.548 0.256 0.599
S31 0.638 0.180 0.440
S32 0.638 0.320 0.940
S33 0.673 0.593 0.425
S34 0.673 0.907 0.925
S35 0.777 0.063 0.190
S36 0.777 0.437 0.690
S37 0.789 0.165 0.593
S38 0.789 0.335 0.093
S39 0.793 0.738 0.211
S40 0.793 0.762 0.711
S41 0.832 0.607 0.564
S42 0.832 0.893 0.064
S43 0.834 0.523 0.959
S44 0.834 0.977 0.459
S45 0.851 0.191 0.958
S46 0.851 0.309 0.458
S47 0.996 0.595 0.721
S48 0.996 0.905 0.221
# - Crystal system: monoclinic
# - ΔE_f: -1.3264 eV/atom